The following is a GGA-PBE calculation of crystalline Sc7CBr12 at its relaxed geometry, from the Materials Project database.

Lattice parameters (Å, degrees): 8.6130 8.6130 8.6130 107.75 107.75 107.75
Positions (direct):
Sc: 0.0000 0.0000 0.0000
Sc: 0.2357 0.4323 0.4995
Sc: 0.4323 0.4995 0.2357
Sc: 0.4995 0.2357 0.4323
Sc: 0.5607 0.8165 0.6257
Sc: 0.6257 0.5607 0.8165
Sc: 0.8165 0.6257 0.5607
C: 0.5224 0.5224 0.5224
Br: 0.0677 0.3634 0.1414
Br: 0.1414 0.0677 0.3634
Br: 0.2167 0.7488 0.5987
Br: 0.3027 0.4472 0.8328
Br: 0.3634 0.1414 0.0677
Br: 0.4472 0.8328 0.3027
Br: 0.5987 0.2167 0.7488
Br: 0.6708 0.9091 0.9878
Br: 0.7488 0.5987 0.2167
Br: 0.8328 0.3027 0.4472
Br: 0.9091 0.9878 0.6708
Br: 0.9878 0.6708 0.9091

Properties
E_form   -1859 meV per atom
Energy above the lowest structure with this stoichiometry   0.000 eV/f.u.



The following is a GGA-PBE calculation of crystalline SiH6CI3N at its relaxed geometry, from the Materials Project database.

Lattice parameters (Å, degrees): 8.5824 8.5934 12.9568 89.97 88.91 88.84
Positions (direct):
Si: 0.0000 0.0000 0.0000
Si: 0.0230 0.0301 0.5002
Si: 0.4986 0.5067 0.0001
Si: 0.5225 0.5304 0.5003
H: 0.0119 0.3917 0.3324
H: 0.0326 0.6142 0.1553
H: 0.0488 0.3999 0.6591
H: 0.1052 0.5835 0.6563
H: 0.1146 0.4375 0.1587
H: 0.1262 0.5644 0.3290
H: 0.1391 0.4803 0.8298
H: 0.4163 0.0491 0.1587
H: 0.4179 0.0430 0.6572
H: 0.4368 0.9314 0.3321
H: 0.4401 0.9263 0.8307
H: 0.4853 0.1294 0.8294
H: 0.4967 0.1304 0.3293
H: 0.5452 0.9012 0.1575
H: 0.5566 0.9037 0.6580
H: 0.6051 0.0895 0.6566
H: 0.6058 0.0834 0.1554
H: 0.6405 0.9762 0.3279
H: 0.6395 0.9855 0.8302
H: 0.9162 0.5451 0.6586
H: 0.9172 0.5796 0.3288
H: 0.9220 0.4564 0.1588
H: 0.9368 0.4305 0.8327
H: 0.9915 0.6310 0.8293
C: 0.0190 0.5108 0.3030
C: 0.0220 0.5127 0.8035
C: 0.5220 0.0133 0.8029
C: 0.5236 0.0121 0.3027
I: 0.0202 0.0095 0.7979
I: 0.0273 0.0116 0.2975
I: 0.2500 0.2373 0.5279
I: 0.2763 0.7517 0.0280
I: 0.2812 0.7436 0.5307
I: 0.2859 0.2734 0.0302
I: 0.5200 0.5087 0.7981
I: 0.5256 0.5171 0.2975
I: 0.7518 0.7354 0.5295
I: 0.7780 0.2536 0.0322
I: 0.7796 0.2420 0.5284
I: 0.7844 0.7746 0.0270
N: 0.0223 0.5050 0.1881
N: 0.0230 0.5102 0.6885
N: 0.5227 0.0106 0.1877
N: 0.5253 0.0121 0.6879

Properties
E_form   -294 meV per atom